# 1
{
  "formula": "BaTlIn3",
  "functional": "PBE-GGA",
  "state": "relaxed",
  "lattice_angstrom": [[5.1328, 0.0000, 0.0000], [0.0000, 5.1328, 0.0000], [2.5664, 2.5664, 6.1521]],
  "species": ["In", "In", "In", "Ba", "Tl"],
  "frac_coords": [[0.3827, 0.3827, 0.2346], [0.2500, 0.7500, 0.5000], [0.6173, 0.6173, 0.7654], [0.0000, 0.0000, 0.0000], [0.7500, 0.2500, 0.5000]],
  "spacegroup": "I-4m2, No. 119",
  "mass_density_g_cm3": 7.03,
  "formation_enthalpy_0k_ev_per_atom": -0.31
}

=====

# 2
{
  "formula": "K2LaI5",
  "functional": "PBE-GGA",
  "state": "relaxed",
  "lattice_angstrom": [[9.3315, 0.0000, 0.0000], [0.0000, 9.9837, 0.0000], [0.0000, 0.0000, 14.7110]],
  "species": ["I", "I", "I", "I", "I", "I", "I", "I", "I", "I", "I", "I", "I", "I", "I", "I", "I", "I", "I", "I", "La", "La", "La", "La", "K", "K", "K", "K", "K", "K", "K", "K"],
  "frac_coords": [[0.1290, 0.7500, 0.6820], [0.3337, 0.9554, 0.9217], [0.6663, 0.0446, 0.0783], [0.8710, 0.2500, 0.3180], [0.6651, 0.7500, 0.7932], [0.1663, 0.9554, 0.4217], [0.3710, 0.7500, 0.1820], [0.6663, 0.4554, 0.0783], [0.6290, 0.2500, 0.8180], [0.8337, 0.0446, 0.5783], [0.8337, 0.4554, 0.5783], [0.8349, 0.7500, 0.2932], [0.1663, 0.5446, 0.4217], [0.1651, 0.2500, 0.7068], [0.4287, 0.2500, 0.4931], [0.0713, 0.2500, 0.9931], [0.3349, 0.2500, 0.2068], [0.3337, 0.5446, 0.9217], [0.5713, 0.7500, 0.5069], [0.9287, 0.7500, 0.0069], [0.9226, 0.7500, 0.5055], [0.5774, 0.7500, 0.0055], [0.0774, 0.2500, 0.4945], [0.4226, 0.2500, 0.9945], [0.4497, 0.5051, 0.6713], [0.5503, 0.0051, 0.3287], [0.9497, 0.4949, 0.8287], [0.4497, 0.9949, 0.6713], [0.5503, 0.4949, 0.3287], [0.0503, 0.5051, 0.1713], [0.9497, 0.0051, 0.8287], [0.0503, 0.9949, 0.1713]],
  "spacegroup": "Pnma, No. 62",
  "mass_density_g_cm3": 4.13,
  "formation_enthalpy_0k_ev_per_atom": -1.77
}

=====

# 3
{
  "formula": "Ti2MnRe",
  "functional": "PBE-GGA",
  "state": "relaxed",
  "lattice_angstrom": [[0.0000, 3.0608, 3.0608], [3.0608, 0.0000, 3.0608], [3.0608, 3.0608, 0.0000]],
  "species": ["Ti", "Ti", "Mn", "Re"],
  "frac_coords": [[0.2500, 0.2500, 0.2500], [0.7500, 0.7500, 0.7500], [0.5000, 0.5000, 0.5000], [0.0000, 0.0000, 0.0000]],
  "spacegroup": "Fm-3m, No. 225",
  "mass_density_g_cm3": 9.75,
  "formation_enthalpy_0k_ev_per_atom": -0.30
}

=====

# 4
{
  "formula": "NaPrZr4O12",
  "functional": "PBE-GGA",
  "state": "relaxed",
  "lattice_angstrom": [[0.0000, 4.0933, 4.0842], [0.0000, -4.0933, 4.0842], [8.3700, 0.0000, 0.0000]],
  "species": ["Pr", "O", "O", "O", "O", "O", "O", "O", "O", "O", "O", "O", "O", "Zr", "Zr", "Zr", "Zr", "Na"],
  "frac_coords": [[0.9819, 0.9819, 0.5000], [0.0375, 0.4289, 0.5000], [0.2091, 0.7898, 0.7162], [0.7520, 0.7520, 0.3047], [0.7898, 0.2091, 0.7162], [0.4289, 0.0375, 0.5000], [0.2091, 0.7898, 0.2838], [0.7520, 0.7520, 0.6953], [0.7898, 0.2091, 0.2838], [0.3029, 0.3029, 0.2025], [0.3029, 0.3029, 0.7975], [0.5135, 0.9232, 0.0000], [0.9232, 0.5135, 0.0000], [0.0074, 0.4898, 0.2361], [0.4898, 0.0074, 0.7639], [0.4898, 0.0074, 0.2361], [0.0074, 0.4898, 0.7639], [0.5115, 0.5115, 0.0000]],
  "spacegroup": "Amm2, No. 38",
  "mass_density_g_cm3": 4.28,
  "formation_enthalpy_0k_ev_per_atom": -3.03
}

=====

# 5
{
  "formula": "Na6Y2Nb6Si9S3O48",
  "functional": "PBE-GGA",
  "state": "relaxed",
  "lattice_angstrom": [[18.0779, -0.0470, 0.0562], [-4.5398, 7.8731, -0.0069], [0.0718, 0.0209, 23.1173]],
  "species": ["O", "O", "O", "O", "O", "O", "O", "O", "O", "O", "O", "O", "O", "O", "O", "O", "O", "O", "O", "O", "O", "O", "O", "O", "O", "O", "O", "O", "O", "O", "O", "O", "O", "O", "O", "O", "O", "O", "O", "O", "O", "O", "O", "O", "O", "O", "O", "O", "O", "O", "O", "O", "O", "O", "O", "O", "O", "O", "O", "O", "O", "O", "O", "O", "O", "O", "O", "O", "O", "O", "O", "O", "O", "O", "O", "O", "O", "O", "O", "O", "O", "O", "O", "O", "O", "O", "O", "O", "O", "O", "O", "O", "O", "O", "O", "O", "O", "O", "O", "O", "O", "O", "O", "O", "O", "O", "O", "O", "O", "O", "O", "O", "O", "O", "O", "O", "O", "O", "O", "O", "O", "O", "O", "O", "O", "O", "O", "O", "O", "O", "O", "O", "O", "O", "O", "O", "O", "O", "O", "O", "O", "O", "O", "O", "Y", "Y", "Y", "Y", "Y", "Y", "Si", "Si", "Si", "Si", "Si", "Si", "Si", "Si", "Si", "Si", "Si", "Si", "Si", "Si", "Si", "Si", "Si", "Si", "Si", "Si", "Si", "Si", "Si", "Si", "Si", "Si", "Si", "Nb", "Nb", "Nb", "Nb", "Nb", "Nb", "Nb", "Nb", "Nb", "Nb", "Nb", "Nb", "Nb", "Nb", "Nb", "Nb", "Nb", "Nb", "S", "S", "S", "S", "S", "S", "S", "S", "S", "Na", "Na", "Na", "Na", "Na", "Na", "Na", "Na", "Na", "Na", "Na", "Na", "Na", "Na", "Na", "Na", "Na", "Na"],
  "frac_coords": [[0.5134, 0.8156, 0.6997], [0.6801, 0.8586, 0.8580], [0.0824, 0.1915, 0.4067], [0.4133, 0.5220, 0.0295], [0.4921, 0.1825, 0.3045], [0.7305, 0.1466, 0.2426], [0.0832, 0.4580, 0.2553], [0.3386, 0.1549, 0.7537], [0.8903, 0.8059, 0.9171], [0.4482, 0.5266, 0.1447], [0.5825, 0.1908, 0.6933], [0.2600, 0.7101, 0.2559], [0.4886, 0.1653, 0.5855], [0.4263, 0.5462, 0.7524], [0.2608, 0.8215, 0.7595], [0.7383, 0.3349, 0.7502], [0.7600, 0.6596, 0.5754], [0.7420, 0.3115, 0.0298], [0.0866, 0.9779, 0.9219], [0.2522, 0.3576, 0.4241], [0.1478, 0.4627, 0.7525], [0.8120, 0.4982, 0.9236], [0.0733, 0.4861, 0.5712], [0.2307, 0.3164, 0.7440], [0.3437, 0.1444, 0.0323], [0.5818, 0.4976, 0.5702], [0.0136, 0.2063, 0.1977], [0.2382, 0.1704, 0.5297], [0.5813, 0.7019, 0.7577], [0.7574, 0.6366, 0.8629], [0.0079, 0.1977, 0.9202], [0.0662, 0.4964, 0.8573], [0.9264, 0.3784, 0.9270], [0.5916, 0.1692, 0.8078], [0.5817, 0.9728, 0.9081], [0.2560, 0.8688, 0.3617], [0.3097, 0.5158, 0.6410], [0.4156, 0.0067, 0.8080], [0.8476, 0.1630, 0.0260], [0.4121, 0.0196, 0.0849], [0.4525, 0.3818, 0.6398], [0.9052, 0.8321, 0.1936], [0.7501, 0.1391, 0.9244], [0.4203, 0.3174, 0.2436], [0.6484, 0.8352, 0.2513], [0.9038, 0.9665, 0.6940], [0.6826, 0.4932, 0.3602], [0.5674, 0.6379, 0.3564], [0.4075, 0.8349, 0.9086], [0.8213, 0.5421, 0.6375], [0.4278, 0.3634, 0.9268], [0.2542, 0.6632, 0.5673], [0.4041, 0.9788, 0.6934], [0.2595, 0.1464, 0.9280], [0.4125, 0.7988, 0.3053], [0.0820, 0.9757, 0.1939], [0.5823, 0.4739, 0.9732], [0.9140, 0.3048, 0.5296], [0.7497, 0.8580, 0.3594], [0.7380, 0.0979, 0.6392], [0.5908, 0.9750, 0.1960], [0.4199, 0.8180, 0.5921], [0.9115, 0.0264, 0.8065], [0.5899, 0.0192, 0.5900], [0.7605, 0.6993, 0.2578], [0.0821, 0.4918, 0.9702], [0.6728, 0.4964, 0.0698], [0.6447, 0.4752, 0.7605], [0.0909, 0.2083, 0.6968], [0.9207, 0.5233, 0.7447], [0.6075, 0.0214, 0.3008], [0.1068, 0.1947, 0.8016], [0.3197, 0.4966, 0.9213], [0.9288, 0.3094, 0.2478], [0.9919, 0.8007, 0.8058], [0.0907, 0.0129, 0.3074], [0.2493, 0.6392, 0.8591], [0.7606, 0.3714, 0.4267], [0.5800, 0.6719, 0.4695], [0.7541, 0.8459, 0.0678], [0.4960, 0.8057, 0.8059], [0.4246, 0.4759, 0.4223], [0.3087, 0.1197, 0.4200], [0.5924, 0.4880, 0.2534], [0.8453, 0.5433, 0.5326], [0.9279, 0.4908, 0.4256], [0.4043, 0.8411, 0.1931], [0.2670, 0.6893, 0.9720], [0.2340, 0.3098, 0.0252], [0.5731, 0.6594, 0.0708], [0.9204, 0.0188, 0.0914], [0.1443, 0.8110, 0.2593], [0.9488, 0.3702, 0.6452], [0.2370, 0.3803, 0.1391], [0.3891, 0.9713, 0.4157], [0.0725, 0.6625, 0.0734], [0.0823, 0.6904, 0.4730], [0.7597, 0.6717, 0.9683], [0.7358, 0.3708, 0.1444], [0.9862, 0.1535, 0.5911], [0.7678, 0.8405, 0.4732], [0.8416, 0.1584, 0.7465], [0.5121, 0.1942, 0.9106], [0.7600, 0.8102, 0.7572], [0.1814, 0.8684, 0.8618], [0.1661, 0.8428, 0.9759], [0.8406, 0.5240, 0.2519], [0.1559, 0.4783, 0.4703], [0.9507, 0.5379, 0.1347], [0.5879, 0.1962, 0.4205], [0.9074, 0.9803, 0.4073], [0.6717, 0.8458, 0.5690], [0.2342, 0.0976, 0.6450], [0.0897, 0.0198, 0.5899], [0.5706, 0.5034, 0.8609], [0.0120, 0.8296, 0.4107], [0.6675, 0.4915, 0.4736], [0.0925, 0.6979, 0.7544], [0.9907, 0.8054, 0.0861], [0.5907, 0.1591, 0.0887], [0.2578, 0.8577, 0.0750], [0.5091, 0.8211, 0.4187], [0.0711, 0.6394, 0.3605], [0.8157, 0.1128, 0.1394], [0.6558, 0.8324, 0.9710], [0.4866, 0.8192, 0.0905], [0.0890, 0.1592, 0.0905], [0.0170, 0.8372, 0.6925], [0.3191, 0.0974, 0.1370], [0.8196, 0.1407, 0.4219], [0.3484, 0.5335, 0.5276], [0.4179, 0.3134, 0.5260], [0.3414, 0.5254, 0.2461], [0.9156, 0.8244, 0.3078], [0.9943, 0.1853, 0.3039], [0.1802, 0.5008, 0.3584], [0.9293, 0.5473, 0.0306], [0.5169, 0.1963, 0.1915], [0.1721, 0.8476, 0.5693], [0.7352, 0.1631, 0.5256], [0.2589, 0.8460, 0.4675], [0.9141, 0.8046, 0.5854], [0.2376, 0.1407, 0.2493], [0.1671, 0.4968, 0.0703], [0.8356, 0.3389, 0.1820], [0.8262, 0.3173, 0.6834], [0.9999, 0.0001, 0.8591], [0.3389, 0.3351, 0.6804], [0.5000, 0.0008, 0.3596], [0.3258, 0.3356, 0.1839], [0.1684, 0.3787, 0.4162], [0.3569, 0.9973, 0.7519], [0.5220, 0.3846, 0.9181], [0.1832, 0.3350, 0.0817], [0.6400, 0.2879, 0.7505], [0.3529, 0.7111, 0.2513], [0.5163, 0.6540, 0.4157], [0.8563, 0.7167, 0.2529], [0.3131, 0.6700, 0.9133], [0.8336, 0.0335, 0.0834], [0.0181, 0.3812, 0.9162], [0.1402, 0.9888, 0.2518], [0.6636, 0.9459, 0.9153], [0.4835, 0.3436, 0.5800], [0.1702, 0.9632, 0.9224], [0.8530, 0.9951, 0.7516], [0.3329, 0.6315, 0.5847], [0.5031, 0.2972, 0.2499], [0.6840, 0.0336, 0.5820], [0.1860, 0.0368, 0.5837], [0.8114, 0.9510, 0.4159], [0.4760, 0.6273, 0.0851], [0.0028, 0.7102, 0.7502], [0.9762, 0.3249, 0.5853], [0.6860, 0.3346, 0.0837], [0.6716, 0.3776, 0.4220], [0.0216, 0.6582, 0.4185], [0.1594, 0.6534, 0.5228], [0.6690, 0.6558, 0.3183], [0.9997, 0.9942, 0.1448], [0.3311, 0.3499, 0.9762], [0.6592, 0.6627, 0.0227], [0.4983, 0.0178, 0.6391], [0.6609, 0.6658, 0.8102], [0.1640, 0.6590, 0.3134], [0.8308, 0.3107, 0.4767], [0.9967, 0.9896, 0.6434], [0.5021, 0.0177, 0.8585], [0.1698, 0.6598, 0.0137], [0.4970, 0.0033, 0.1438], [0.6634, 0.6702, 0.5157], [0.3335, 0.3467, 0.4835], [0.8261, 0.3050, 0.9783], [0.1688, 0.6823, 0.8168], [0.0021, 0.9869, 0.3602], [0.3037, 0.9531, 0.4178], [0.5012, 0.7207, 0.7532], [0.0028, 0.2838, 0.2521], [0.9846, 0.6339, 0.0800], [0.1447, 0.2954, 0.7489], [0.3317, 0.0340, 0.0818], [0.8046, 0.6540, 0.9185], [0.8326, 0.6301, 0.5818], [0.6443, 0.9946, 0.2482], [0.3233, 0.0170, 0.2551], [0.3283, 0.3401, 0.3324], [0.6730, 0.6724, 0.1646], [0.3417, 0.3302, 0.8336], [0.5036, 0.9961, 0.9987], [0.1870, 0.0032, 0.7421], [0.8293, 0.3219, 0.8258], [0.5072, 0.9980, 0.4982], [0.8414, 0.3529, 0.3378], [0.0070, 0.0178, 0.9967], [0.6863, 0.3741, 0.2454], [0.4913, 0.6196, 0.2496], [0.1747, 0.6733, 0.6623], [0.6578, 0.6702, 0.6603], [0.8228, 0.6308, 0.7534], [0.9919, 0.3622, 0.7474], [0.1667, 0.6512, 0.1666], [0.0033, 0.0104, 0.5001]],
  "spacegroup": "P1, No. 1",
  "mass_density_g_cm3": 3.02,
  "formation_enthalpy_0k_ev_per_atom": -2.88
}

=====

# 6
{
  "formula": "YAg",
  "functional": "PBE-GGA",
  "state": "relaxed",
  "lattice_angstrom": [[3.6535, 0.0000, 0.0000], [0.0000, 3.6535, 0.0000], [0.0000, 0.0000, 3.6535]],
  "species": ["Ag", "Y"],
  "frac_coords": [[0.0000, 0.0000, 0.0000], [0.5000, 0.5000, 0.5000]],
  "spacegroup": "Pm-3m, No. 221",
  "mass_density_g_cm3": 6.70,
  "formation_enthalpy_0k_ev_per_atom": -0.33
}